Entry from Materials Project: Li3MnB2O6 after structural relaxation (PBE with a Hubbard U).

Structure (extended XYZ):
```
48
Lattice="5.881 0.000 0.000 0.000 8.058 0.000 -5.052 0.000 9.861" Properties=species:S:1:pos:R:3 pbc="T T T"
Li -0.125 1.757 0.882
Li -2.651 2.272 5.812
Li 0.894 4.523 1.286
Li -1.632 7.563 6.217
Li 0.239 5.839 3.936
Li -2.287 6.248 8.867
Li 3.116 1.810 0.995
Li 0.590 2.219 5.926
Li 2.461 0.495 3.645
Li -0.065 3.534 8.576
Li 3.480 5.786 4.049
Li 0.954 6.301 8.980
Mn -3.764 0.894 8.352
Mn -1.238 3.135 3.421
Mn 2.067 4.923 6.440
Mn 4.593 7.164 1.510
B -0.873 0.486 3.866
B -3.399 3.543 8.797
B -0.964 4.937 6.299
B 1.562 7.149 1.368
B -0.733 0.908 8.493
B 1.793 3.120 3.563
B 4.229 4.515 1.065
B 1.702 7.571 5.995
O -0.711 0.689 2.498
O -3.237 3.339 7.429
O -3.666 4.765 9.307
O -1.140 7.321 4.376
O -1.103 4.496 5.017
O 1.423 7.590 0.086
O -0.889 1.650 4.657
O -3.416 2.379 9.588
O -1.999 5.700 6.873
O 0.528 6.386 1.942
O -1.862 0.678 7.720
O 0.664 3.351 2.790
O 0.165 4.707 7.072
O 2.691 7.380 2.141
O 0.301 1.671 7.920
O 2.828 2.358 2.989
O 4.245 5.679 0.274
O 1.719 6.408 5.204
O -0.594 0.468 9.775
O 1.932 3.561 4.845
O 1.969 0.737 5.485
O 4.495 3.292 0.555
O 4.066 4.718 2.433
O 1.540 7.368 7.364
```

Summary:
M_tot   16.00 μB per cell
Energy relative to the lowest polymorph listed for this composition   0.58 eV/f.u.
ΔH_f (0 K)   -29.8 eV per formula unit